! Sr4MnRuO8, relaxed, DFT PBE+U; values from VASP
&SYSTEM
  ibrav = 0, nat = 14, ntyp = 4
/
ATOMIC_SPECIES
Sr 87.62 Sr.upf
Mn 54.94 Mn.upf
Ru 101.07 Ru.upf
O 16.00 O.upf
CELL_PARAMETERS angstrom
2.828 -6.244 0.000
2.828 6.244 0.000
0.000 0.000 5.656
ATOMIC_POSITIONS crystal
Sr 0.642 0.358 0.000
Sr 0.144 0.856 0.500
Sr 0.856 0.144 0.500
Sr 0.358 0.642 0.000
Mn 0.500 0.500 0.500
Ru 0.000 0.000 0.000
O 0.755 0.755 0.755
O 0.245 0.245 0.245
O 0.245 0.245 0.755
O 0.755 0.755 0.245
O 0.838 0.162 0.000
O 0.343 0.657 0.500
O 0.657 0.343 0.500
O 0.162 0.838 0.000
! Energy of formation from the pure elements (kJ per mole of atoms): -252
! Raw total energy (eV/atom): -6.727
! Space group: Cmmm
! Relative energy among the computed polymorphs (meV/atom): 0

! Mn3H6S2O12, relaxed, DFT PBE+U; values from VASP
&SYSTEM
  ibrav = 0, nat = 92, ntyp = 4
/
ATOMIC_SPECIES
Mn 54.94 Mn.upf
H 1.01 H.upf
S 32.06 S.upf
O 16.00 O.upf
CELL_PARAMETERS angstrom
-1.131 -7.186 -1.385
5.832 -2.450 7.948
-10.747 0.163 7.936
ATOMIC_POSITIONS crystal
Mn 0.061 0.532 0.628
Mn 0.939 0.468 0.372
Mn 0.939 0.468 0.128
Mn 0.939 0.032 0.872
Mn 0.061 0.532 0.872
Mn 0.061 0.968 0.128
Mn 0.061 0.968 0.372
Mn 0.939 0.032 0.628
Mn 0.298 0.259 0.250
Mn 0.702 0.741 0.750
Mn 0.702 0.759 0.250
Mn 0.298 0.241 0.750
H 0.050 0.758 0.250
H 0.950 0.242 0.750
H 0.950 0.258 0.250
H 0.050 0.742 0.750
H 0.598 0.334 0.078
H 0.402 0.666 0.922
H 0.402 0.666 0.578
H 0.402 0.834 0.422
H 0.598 0.334 0.422
H 0.598 0.166 0.578
H 0.598 0.166 0.922
H 0.402 0.834 0.078
H 0.700 0.387 0.980
H 0.300 0.613 0.020
H 0.300 0.613 0.480
H 0.300 0.887 0.520
H 0.700 0.387 0.520
H 0.700 0.113 0.480
H 0.700 0.113 0.020
H 0.300 0.887 0.980
H 0.334 0.010 0.250
H 0.666 0.990 0.750
H 0.666 0.510 0.250
H 0.334 0.490 0.750
S 0.305 0.585 0.250
S 0.695 0.415 0.750
S 0.695 0.085 0.250
S 0.305 0.915 0.750
S 0.211 0.250 0.000
S 0.789 0.750 0.000
S 0.789 0.750 0.500
S 0.211 0.250 0.500
O 0.585 0.206 0.250
O 0.415 0.794 0.750
O 0.415 0.706 0.250
O 0.585 0.294 0.750
O 0.329 0.253 0.089
O 0.671 0.747 0.911
O 0.671 0.747 0.589
O 0.671 0.753 0.411
O 0.329 0.253 0.411
O 0.329 0.247 0.589
O 0.329 0.247 0.911
O 0.671 0.753 0.089
O 0.092 0.130 0.003
O 0.908 0.870 0.997
O 0.908 0.870 0.503
O 0.908 0.630 0.497
O 0.092 0.130 0.497
O 0.092 0.370 0.503
O 0.092 0.370 0.997
O 0.908 0.630 0.003
O 0.698 0.389 0.054
O 0.302 0.611 0.946
O 0.302 0.611 0.554
O 0.302 0.889 0.446
O 0.698 0.389 0.446
O 0.698 0.111 0.554
O 0.698 0.111 0.946
O 0.302 0.889 0.054
O 0.214 0.052 0.250
O 0.786 0.948 0.750
O 0.786 0.552 0.250
O 0.214 0.448 0.750
O 0.187 0.586 0.158
O 0.813 0.414 0.842
O 0.813 0.414 0.658
O 0.813 0.086 0.342
O 0.187 0.586 0.342
O 0.187 0.914 0.658
O 0.187 0.914 0.842
O 0.813 0.086 0.158
O 0.026 0.336 0.250
O 0.974 0.664 0.750
O 0.974 0.836 0.250
O 0.026 0.164 0.750
O 0.420 0.465 0.250
O 0.580 0.535 0.750
O 0.580 0.965 0.250
O 0.420 0.035 0.750
! Energy of formation from the pure elements (kJ per mole of atoms): -169
! Raw total energy (eV/atom): -6.194
! Space group: Pbcm

! V6O11, relaxed, DFT PBE+U; values from VASP
&SYSTEM
  ibrav = 0, nat = 34, ntyp = 2
/
ATOMIC_SPECIES
V 50.94 V.upf
O 16.00 O.upf
CELL_PARAMETERS angstrom
2.886 -5.108 0.000
2.886 5.108 0.000
0.000 0.000 13.401
ATOMIC_POSITIONS crystal
V 0.999 0.001 0.649
V 0.999 0.001 0.851
V 0.500 0.500 0.500
V 0.500 0.000 0.500
V 0.000 0.500 0.500
V 0.669 0.331 0.250
V 0.331 0.669 0.750
V 0.000 0.500 0.000
V 0.500 0.000 0.000
V 0.500 0.500 0.000
V 0.001 0.999 0.351
V 0.001 0.999 0.149
O 0.156 0.302 0.750
O 0.840 0.160 0.250
O 0.172 0.342 0.426
O 0.172 0.342 0.074
O 0.825 0.175 0.574
O 0.825 0.175 0.926
O 0.698 0.844 0.750
O 0.658 0.828 0.426
O 0.333 0.667 0.914
O 0.333 0.667 0.586
O 0.658 0.828 0.074
O 0.342 0.172 0.574
O 0.667 0.333 0.086
O 0.667 0.333 0.414
O 0.342 0.172 0.926
O 0.302 0.156 0.250
O 0.175 0.825 0.426
O 0.175 0.825 0.074
O 0.828 0.658 0.574
O 0.828 0.658 0.926
O 0.160 0.840 0.750
O 0.844 0.698 0.250
! Energy of formation from the pure elements (kJ per mole of atoms): -237
! Raw total energy (eV/atom): -7.815
! Space group: Cmcm
! Relative energy among the computed polymorphs (meV/atom): 35

! MgTi2Co4O8, relaxed, DFT PBE+U; values from VASP
&SYSTEM
  ibrav = 0, nat = 15, ntyp = 4
/
ATOMIC_SPECIES
Mg 24.30 Mg.upf
Ti 47.87 Ti.upf
Co 58.93 Co.upf
O 16.00 O.upf
CELL_PARAMETERS angstrom
-5.861 2.000 0.484
-4.389 -4.071 0.826
-3.216 -0.467 5.533
ATOMIC_POSITIONS crystal
Mg 0.161 0.171 0.834
Ti 0.178 0.712 0.555
Ti 0.697 0.119 0.592
Co 0.826 0.869 0.153
Co 0.267 0.320 0.206
Co 0.640 0.602 0.107
Co 0.641 0.601 0.651
O 0.348 0.394 0.431
O 0.420 0.904 0.338
O 0.348 0.394 0.828
O 0.856 0.423 0.360
O 0.467 0.869 0.832
O 0.796 0.343 0.931
O 0.917 0.879 0.395
O 0.917 0.879 0.809
! Energy of formation from the pure elements (kJ per mole of atoms): -188
! Raw total energy (eV/atom): -6.836
! Space group: Cm
! Relative energy among the computed polymorphs (meV/atom): 84

! NaMnPO4, relaxed, DFT PBE+U; values from VASP
&SYSTEM
  ibrav = 0, nat = 28, ntyp = 4
/
ATOMIC_SPECIES
Na 22.99 Na.upf
Mn 54.94 Mn.upf
P 30.97 P.upf
O 16.00 O.upf
CELL_PARAMETERS angstrom
-2.543 -2.634 -3.500
5.048 -3.875 -0.752
-3.799 -6.422 7.594
ATOMIC_POSITIONS crystal
Na 0.000 0.500 0.500
Na 0.500 0.500 0.000
Na 0.000 0.000 0.500
Na 0.500 0.000 0.000
Mn 0.984 0.750 0.217
Mn 0.516 0.750 0.717
Mn 0.484 0.250 0.283
Mn 0.016 0.250 0.783
P 0.430 0.750 0.396
P 0.070 0.750 0.896
P 0.930 0.250 0.104
P 0.570 0.250 0.604
O 0.300 0.557 0.328
O 0.200 0.557 0.828
O 0.166 0.750 0.035
O 0.334 0.750 0.535
O 0.734 0.750 0.387
O 0.766 0.750 0.887
O 0.300 0.943 0.328
O 0.200 0.943 0.828
O 0.700 0.057 0.672
O 0.800 0.057 0.172
O 0.666 0.250 0.465
O 0.234 0.250 0.113
O 0.834 0.250 0.965
O 0.266 0.250 0.613
O 0.800 0.443 0.172
O 0.700 0.443 0.672
! Energy of formation from the pure elements (kJ per mole of atoms): -248
! Raw total energy (eV/atom): -7.043
! Space group: Pnma
! Relative energy among the computed polymorphs (meV/atom): 0

! Rb2Fe2As2O9, relaxed, DFT PBE+U; values from VASP
&SYSTEM
  ibrav = 0, nat = 60, ntyp = 4
/
ATOMIC_SPECIES
Rb 85.47 Rb.upf
Fe 55.84 Fe.upf
As 74.92 As.upf
O 16.00 O.upf
CELL_PARAMETERS angstrom
5.883 0.000 0.000
0.000 8.703 0.000
0.000 0.000 19.109
ATOMIC_POSITIONS crystal
Rb 0.250 0.889 0.138
Rb 0.250 0.389 0.362
Rb 0.750 0.111 0.862
Rb 0.750 0.611 0.638
Rb 0.250 0.006 0.725
Rb 0.250 0.506 0.775
Rb 0.750 0.994 0.275
Rb 0.750 0.494 0.225
Fe 0.250 0.285 0.562
Fe 0.250 0.785 0.938
Fe 0.750 0.715 0.438
Fe 0.750 0.215 0.062
Fe 0.000 0.000 0.500
Fe 0.500 0.500 0.000
Fe 0.500 0.000 0.500
Fe 0.000 0.500 0.000
As 0.250 0.818 0.360
As 0.250 0.318 0.140
As 0.750 0.182 0.640
As 0.750 0.682 0.860
As 0.250 0.678 0.556
As 0.250 0.178 0.944
As 0.750 0.322 0.444
As 0.750 0.822 0.056
O 0.250 0.058 0.562
O 0.250 0.558 0.938
O 0.750 0.942 0.438
O 0.750 0.442 0.062
O 0.250 0.961 0.426
O 0.250 0.461 0.074
O 0.750 0.039 0.574
O 0.750 0.539 0.926
O 0.008 0.768 0.522
O 0.492 0.268 0.978
O 0.508 0.232 0.478
O 0.992 0.732 0.022
O 0.992 0.232 0.478
O 0.508 0.732 0.022
O 0.492 0.768 0.522
O 0.008 0.268 0.978
O 0.250 0.493 0.526
O 0.250 0.993 0.974
O 0.750 0.507 0.474
O 0.750 0.007 0.026
O 0.010 0.703 0.368
O 0.490 0.203 0.132
O 0.510 0.297 0.632
O 0.990 0.797 0.868
O 0.990 0.297 0.632
O 0.510 0.797 0.868
O 0.490 0.703 0.368
O 0.010 0.203 0.132
O 0.250 0.692 0.644
O 0.250 0.192 0.856
O 0.750 0.308 0.356
O 0.750 0.808 0.144
O 0.250 0.909 0.282
O 0.250 0.409 0.218
O 0.750 0.091 0.718
O 0.750 0.591 0.782
! Energy of formation from the pure elements (kJ per mole of atoms): -181
! Raw total energy (eV/atom): -6.010
! Space group: Pnma

! Na3Co4O8, relaxed, DFT PBE+U; values from VASP
&SYSTEM
  ibrav = 0, nat = 15, ntyp = 3
/
ATOMIC_SPECIES
Na 22.99 Na.upf
Co 58.93 Co.upf
O 16.00 O.upf
CELL_PARAMETERS angstrom
3.017 5.123 0.000
-3.017 5.123 0.000
0.000 3.418 5.473
ATOMIC_POSITIONS crystal
Na 0.000 0.500 0.500
Na 0.500 0.000 0.500
Na 0.500 0.500 0.500
Co 0.000 0.500 0.000
Co 0.000 0.000 0.000
Co 0.500 0.500 0.000
Co 0.500 0.000 0.000
O 0.766 0.766 0.203
O 0.767 0.276 0.189
O 0.276 0.767 0.189
O 0.284 0.284 0.188
O 0.724 0.233 0.811
O 0.716 0.716 0.812
O 0.234 0.234 0.797
O 0.233 0.724 0.811
! Energy of formation from the pure elements (kJ per mole of atoms): -132
! Raw total energy (eV/atom): -5.364
! Space group: C2/m
! Relative energy among the computed polymorphs (meV/atom): 144

! Ti11Fe13O36, relaxed, DFT PBE+U; values from VASP
&SYSTEM
  ibrav = 0, nat = 60, ntyp = 3
/
ATOMIC_SPECIES
Ti 47.87 Ti.upf
Fe 55.84 Fe.upf
O 16.00 O.upf
CELL_PARAMETERS angstrom
5.156 0.000 0.000
-2.568 4.967 0.000
-0.066 -1.499 25.567
ATOMIC_POSITIONS crystal
Ti 0.476 0.947 0.943
Ti 0.817 0.609 0.774
Ti 0.862 0.731 0.641
Ti 0.146 0.281 0.859
Ti 0.122 0.270 0.608
Ti 0.198 0.394 0.473
Ti 0.531 0.053 0.309
Ti 0.855 0.721 0.143
Ti 0.140 0.277 0.357
Ti 0.470 0.947 0.191
Ti 0.821 0.618 0.025
Fe 0.188 0.379 0.977
Fe 0.533 0.058 0.810
Fe 0.856 0.714 0.893
Fe 0.191 0.384 0.726
Fe 0.473 0.952 0.692
Fe 0.473 0.952 0.441
Fe 0.527 0.046 0.557
Fe 0.798 0.610 0.523
Fe 0.812 0.614 0.274
Fe 0.862 0.717 0.393
Fe 0.140 0.285 0.107
Fe 0.190 0.385 0.226
Fe 0.531 0.053 0.059
O 0.865 0.089 0.920
O 0.321 0.014 0.877
O 0.483 0.224 0.985
O 0.887 0.423 0.841
O 0.041 0.689 0.963
O 0.215 0.775 0.763
O 0.398 0.554 0.903
O 0.660 0.666 0.709
O 0.796 0.885 0.819
O 0.186 0.086 0.672
O 0.369 0.339 0.798
O 0.553 0.440 0.598
O 0.758 0.247 0.745
O 0.996 0.342 0.543
O 0.107 0.551 0.651
O 0.538 0.762 0.507
O 0.716 0.998 0.626
O 0.930 0.121 0.428
O 0.077 0.890 0.576
O 0.314 0.006 0.370
O 0.453 0.254 0.493
O 0.882 0.415 0.341
O 0.024 0.651 0.461
O 0.256 0.789 0.261
O 0.407 0.539 0.406
O 0.635 0.667 0.204
O 0.791 0.915 0.327
O 0.212 0.086 0.173
O 0.363 0.331 0.296
O 0.591 0.468 0.093
O 0.740 0.210 0.240
O 0.961 0.345 0.042
O 0.119 0.586 0.160
O 0.567 0.764 0.004
O 0.693 0.996 0.131
O 0.086 0.887 0.072
! Energy of formation from the pure elements (kJ per mole of atoms): -217
! Raw total energy (eV/atom): -7.603
! Space group: P1
! Relative energy among the computed polymorphs (meV/atom): 371

! Mn3Sn3Te2O16, relaxed, DFT PBE+U; values from VASP
&SYSTEM
  ibrav = 0, nat = 24, ntyp = 4
/
ATOMIC_SPECIES
Mn 54.94 Mn.upf
Sn 118.71 Sn.upf
Te 127.60 Te.upf
O 16.00 O.upf
CELL_PARAMETERS angstrom
3.124 5.510 0.000
-3.124 5.510 0.000
0.000 0.250 9.319
ATOMIC_POSITIONS crystal
Mn 0.831 0.831 0.796
Mn 0.168 0.662 0.297
Mn 0.662 0.168 0.297
Sn 0.338 0.833 0.794
Sn 0.833 0.338 0.794
Sn 0.168 0.168 0.292
Te 0.671 0.671 0.511
Te 0.338 0.338 0.018
O 0.364 0.822 0.401
O 0.525 0.525 0.647
O 0.660 0.660 0.903
O 0.004 0.004 0.701
O 0.996 0.996 0.212
O 0.822 0.364 0.401
O 0.517 0.949 0.644
O 0.949 0.517 0.644
O 0.182 0.182 0.900
O 0.822 0.822 0.399
O 0.046 0.471 0.144
O 0.471 0.046 0.144
O 0.336 0.336 0.391
O 0.185 0.639 0.902
O 0.472 0.472 0.153
O 0.639 0.185 0.902
! Energy of formation from the pure elements (kJ per mole of atoms): -172
! Raw total energy (eV/atom): -6.328
! Space group: Cm